# 1
Below is a relaxed B5H6Br crystal, with properties calculated at the PBE level.

Calculated values
Space group: P2_1/c (14)
Theoretical density, g/cm³: 1.6

abc: 7.5915 12.2256 13.7780
angles: 69.19 90.00 90.00
Atoms (fractional coordinates):
B 0.9243 0.3137 0.2104
B 0.4243 0.1863 0.7896
B 0.0757 0.6863 0.7896
B 0.5757 0.8137 0.2104
B 0.7277 0.3476 0.2649
B 0.2277 0.1524 0.7351
B 0.2723 0.6524 0.7351
B 0.7723 0.8476 0.2649
B 0.8003 0.3949 0.3663
B 0.3003 0.1051 0.6337
B 0.1997 0.6051 0.6337
B 0.6997 0.8949 0.3663
B 0.9867 0.5126 0.3345
B 0.4867 0.9874 0.6655
B 0.0133 0.4874 0.6655
B 0.5133 0.0126 0.3345
B 0.0686 0.5653 0.2052
B 0.5686 0.9347 0.7948
B 0.9314 0.4347 0.7948
B 0.4314 0.0653 0.2052
B 0.1142 0.4371 0.1762
B 0.6142 0.0629 0.8238
B 0.8858 0.5629 0.8238
B 0.3858 0.9371 0.1762
B 0.3960 0.8132 0.2907
B 0.3914 0.2312 0.6529
B 0.1086 0.7312 0.6529
B 0.6086 0.7688 0.3471
B 0.0244 0.3618 0.3902
B 0.5244 0.1382 0.6098
B 0.9756 0.6382 0.6098
B 0.4756 0.8618 0.3902
B 0.1758 0.4499 0.2967
B 0.6758 0.0501 0.7033
B 0.8242 0.5501 0.7033
B 0.3242 0.9499 0.2967
B 0.1040 0.3132 0.2907
B 0.6040 0.1868 0.7093
B 0.8960 0.6868 0.7093
B 0.8914 0.2688 0.3471
H 0.8030 0.3962 0.1703
H 0.3030 0.1038 0.8297
H 0.1970 0.6038 0.8297
H 0.6970 0.8962 0.1703
H 0.5825 0.3202 0.2503
H 0.0825 0.1798 0.7497
H 0.4175 0.6798 0.7497
H 0.9175 0.8202 0.2503
H 0.7177 0.4515 0.2770
H 0.2177 0.0485 0.7230
H 0.2823 0.5485 0.7230
H 0.7823 0.9515 0.2770
H 0.6967 0.3943 0.4314
H 0.1967 0.1057 0.5686
H 0.3033 0.6057 0.5686
H 0.8033 0.8943 0.4314
H 0.9890 0.5760 0.3831
H 0.4890 0.9240 0.6169
H 0.0110 0.4240 0.6169
H 0.5110 0.0760 0.3831
H 0.9105 0.5752 0.2450
H 0.4105 0.9248 0.7550
H 0.0895 0.4248 0.7550
H 0.2884 0.7397 0.2978
H 0.1178 0.6613 0.1556
H 0.6178 0.8387 0.8444
H 0.8822 0.3387 0.8444
H 0.3822 0.1613 0.1556
H 0.9955 0.5213 0.1371
H 0.4955 0.9787 0.8629
H 0.0045 0.4787 0.8629
H 0.5045 0.0213 0.1371
H 0.8659 0.1697 0.4013
H 0.3659 0.3303 0.5987
H 0.1341 0.8303 0.5987
H 0.6341 0.6697 0.4013
H 0.0664 0.3282 0.4794
H 0.5664 0.1718 0.5206
H 0.9336 0.6718 0.5206
H 0.4336 0.8282 0.4794
H 0.3242 0.4613 0.3198
H 0.8242 0.0387 0.6802
H 0.6758 0.5387 0.6802
H 0.1758 0.9613 0.3198
H 0.2116 0.2397 0.2978
H 0.7116 0.2603 0.7022
H 0.7884 0.7603 0.7022
H 0.5895 0.0752 0.2450
Br 0.9164 0.2141 0.1266
Br 0.4164 0.2859 0.8734
Br 0.0836 0.7859 0.8734
Br 0.5836 0.7141 0.1266
Br 0.2730 0.4464 0.0616
Br 0.7730 0.0536 0.9384
Br 0.7270 0.5536 0.9384
Br 0.2270 0.9464 0.0616


# 2
Below is a relaxed K3B12H12Br crystal, with properties calculated at the PBE level.

Calculated values
Space group: R-3m (166)
ΔE to the lowest computed polymorph, meV/atom: 0.0
Theoretical density, g/cm³: 1.7

abc: 6.9562 6.9562 6.9562
angles: 94.27 94.27 94.27
Atoms (fractional coordinates):
K 0.5000 0.5000 0.0000
K 0.5000 0.0000 0.5000
K 0.0000 0.5000 0.5000
B 0.7632 0.9370 0.9370
B 0.9370 0.9370 0.7632
B 0.9370 0.7632 0.9370
B 0.0630 0.2368 0.0630
B 0.2368 0.0630 0.0630
B 0.0630 0.0630 0.2368
B 0.8407 0.1228 0.1228
B 0.1228 0.1228 0.8407
B 0.1228 0.8407 0.1228
B 0.8772 0.1593 0.8772
B 0.1593 0.8772 0.8772
B 0.8772 0.8772 0.1593
H 0.4049 0.1085 0.1085
H 0.1085 0.1085 0.4049
H 0.1085 0.4049 0.1085
H 0.8915 0.5951 0.8915
H 0.5951 0.8915 0.8915
H 0.8915 0.8915 0.5951
H 0.7288 0.2115 0.2115
H 0.2115 0.2115 0.7288
H 0.2115 0.7288 0.2115
H 0.7885 0.2712 0.7885
H 0.2712 0.7885 0.7885
H 0.7885 0.7885 0.2712
Br 0.5000 0.5000 0.5000


# 3
Below is a relaxed K3B12H12Br crystal, with properties calculated at the PBE level.

Calculated values
Space group: C2/m (12)
ΔE to the lowest computed polymorph, meV/atom: 822.9
Theoretical density, g/cm³: 0.8

abc: 9.0113 10.4870 8.7421
angles: 93.63 121.02 82.95
Atoms (fractional coordinates):
K 0.5000 0.5000 0.5000
K 0.0000 0.5000 0.5000
K 0.5000 0.5000 0.0000
B 0.8409 0.5914 0.0000
B 0.0805 0.5570 0.8881
B 0.1924 0.5570 0.1119
B 0.1591 0.4086 0.0000
B 0.9195 0.4430 0.1119
B 0.8076 0.4430 0.8881
B 0.0449 0.5772 0.1895
B 0.8554 0.5772 0.8105
B 0.0051 0.3328 0.0000
B 0.9551 0.4228 0.8105
B 0.1446 0.4228 0.1895
B 0.9949 0.6672 0.0000
H 0.7505 0.3850 0.0000
H 0.1606 0.8985 0.6574
H 0.5032 0.8985 0.3426
H 0.2495 0.6150 0.0000
H 0.8394 0.1015 0.3426
H 0.4968 0.1015 0.6574
H 0.1636 0.8913 0.5724
H 0.5911 0.8913 0.4276
H 0.0104 0.7814 0.0000
H 0.8364 0.1087 0.4276
H 0.4089 0.1087 0.5724
H 0.9896 0.2186 0.0000
Br 0.0000 0.0000 0.0000


# 4
Below is a relaxed Mg2BBrN2 crystal, with properties calculated at the PBE level.

Calculated values
Space group: C2/c (15)
Theoretical density, g/cm³: 2.9

abc: 5.6904 5.6904 6.5660
angles: 74.31 74.31 72.01
Atoms (fractional coordinates):
Mg 0.8615 0.6557 0.1621
Mg 0.3443 0.1385 0.3379
Mg 0.1385 0.3443 0.8379
Mg 0.6557 0.8615 0.6621
B 0.1153 0.8847 0.7500
B 0.8847 0.1153 0.2500
Br 0.6308 0.3692 0.7500
Br 0.3692 0.6308 0.2500
N 0.9587 0.7311 0.8196
N 0.2689 0.0413 0.6804
N 0.0413 0.2689 0.1804
N 0.7311 0.9587 0.3196


# 5
Below is a relaxed Na11B21Br2O36 crystal, with properties calculated at the PBE level.

Calculated values
Space group: C2/c (15)
Theoretical density, g/cm³: 2.3

abc: 9.0458 9.1493 24.4048
angles: 99.50 90.00 119.63
Atoms (fractional coordinates):
Na 0.2771 0.3049 0.8425
Na 0.9722 0.6951 0.6575
Na 0.7229 0.6951 0.1575
Na 0.0278 0.3049 0.3425
Na 0.0102 0.7831 0.8431
Na 0.2272 0.2169 0.6569
Na 0.9898 0.2169 0.1569
Na 0.7728 0.7831 0.3431
Na 0.3271 0.8473 0.0041
Na 0.4798 0.1527 0.4959
Na 0.6729 0.1527 0.9959
Na 0.5202 0.8473 0.5041
Na 0.9079 0.7975 0.0098
Na 0.1104 0.2025 0.4902
Na 0.0921 0.2025 0.9902
Na 0.8896 0.7975 0.5098
Na 0.5247 0.0468 0.8421
Na 0.4779 0.9532 0.6579
Na 0.4753 0.9532 0.1579
Na 0.5221 0.0468 0.3421
Na 0.5000 0.5000 0.0000
Na 0.0000 0.5000 0.5000
B 0.8856 0.2209 0.8990
B 0.6648 0.7791 0.6010
B 0.1144 0.7791 0.1010
B 0.3352 0.2209 0.3990
B 0.6864 0.6094 0.9069
B 0.0770 0.3906 0.5931
B 0.3136 0.3906 0.0931
B 0.9230 0.6094 0.4069
B 0.1318 0.5256 0.9225
B 0.6062 0.4744 0.5775
B 0.8682 0.4744 0.0775
B 0.3938 0.5256 0.4225
B 0.4414 0.6646 0.8933
B 0.7768 0.3354 0.6067
B 0.5586 0.3354 0.1067
B 0.2232 0.6646 0.3933
B 0.8413 0.4700 0.9352
B 0.3713 0.5300 0.5648
B 0.1587 0.5300 0.0648
B 0.6287 0.4700 0.4352
B 0.0846 0.0000 0.7500
B 0.9154 0.0000 0.2500
B 0.2589 0.0906 0.0832
B 0.1683 0.9094 0.4168
B 0.7411 0.9094 0.9168
B 0.8317 0.0906 0.5832
B 0.2497 0.8399 0.7516
B 0.4098 0.1601 0.7484
B 0.7503 0.1601 0.2484
B 0.5902 0.8399 0.2516
B 0.6555 0.4328 0.8058
B 0.2228 0.5672 0.6942
B 0.3445 0.5672 0.1942
B 0.7772 0.4328 0.3058
B 0.8712 0.0708 0.7980
B 0.8005 0.9292 0.7020
B 0.1288 0.9292 0.2020
B 0.1995 0.0708 0.2980
B 0.6758 0.3642 0.7071
B 0.3116 0.6358 0.7929
B 0.3242 0.6358 0.2929
B 0.6884 0.3642 0.2071
Br 0.3128 0.0851 0.9394
Br 0.2277 0.9149 0.5606
Br 0.6872 0.9149 0.0606
Br 0.7723 0.0851 0.4394
O 0.7585 0.0000 0.7500
O 0.2415 0.0000 0.2500
O 0.2986 0.6497 0.9277
O 0.6489 0.3503 0.5723
O 0.7014 0.3503 0.0723
O 0.3511 0.6497 0.4277
O 0.7361 0.5357 0.9505
O 0.2004 0.4643 0.5495
O 0.2639 0.4643 0.0495
O 0.7996 0.5357 0.4505
O 0.7347 0.5550 0.8532
O 0.1797 0.4450 0.6468
O 0.2653 0.4450 0.1468
O 0.8203 0.5550 0.3532
O 0.8232 0.1506 0.8410
O 0.6726 0.8494 0.6590
O 0.1768 0.8494 0.1590
O 0.3274 0.1506 0.3410
O 0.4038 0.0000 0.7500
O 0.5962 0.0000 0.2500
O 0.5113 0.5646 0.9116
O 0.9467 0.4354 0.5884
O 0.4887 0.4354 0.0884
O 0.0533 0.5646 0.4116
O 0.5037 0.2840 0.8033
O 0.2197 0.7160 0.6967
O 0.4963 0.7160 0.1967
O 0.7803 0.2840 0.3033
O 0.0984 0.8547 0.7590
O 0.2437 0.1453 0.7410
O 0.9016 0.1453 0.2410
O 0.7563 0.8547 0.2590
O 0.2191 0.7020 0.0775
O 0.5171 0.2980 0.4225
O 0.7809 0.2980 0.9225
O 0.4829 0.7020 0.5775
O 0.0172 0.5854 0.9375
O 0.4318 0.4146 0.5625
O 0.9828 0.4146 0.0625
O 0.5682 0.5854 0.4375
O 0.8040 0.8018 0.9212
O 0.0023 0.1982 0.5788
O 0.1960 0.1982 0.0788
O 0.9977 0.8018 0.4212
O 0.4280 0.1481 0.0978
O 0.2799 0.8519 0.4022
O 0.5720 0.8519 0.9022
O 0.7201 0.1481 0.5978
O 0.0144 0.0570 0.8012
O 0.9575 0.9430 0.6988
O 0.9856 0.9430 0.1988
O 0.0425 0.0570 0.3012
O 0.0719 0.3525 0.9076
O 0.7194 0.6475 0.5924
O 0.9281 0.6475 0.0924
O 0.2806 0.3525 0.4076
O 0.2785 0.7687 0.8001
O 0.5098 0.2313 0.6999
O 0.7215 0.2313 0.1999
O 0.4902 0.7687 0.3001
O 0.7470 0.4691 0.7593
O 0.2779 0.5309 0.7407
O 0.2530 0.5309 0.2407
O 0.7221 0.4691 0.2593
O 0.1428 0.9148 0.0693
O 0.2280 0.0852 0.4307
O 0.8572 0.0852 0.9307
O 0.7720 0.9148 0.5693
O 0.3733 0.5924 0.8346
O 0.7810 0.4076 0.6654
O 0.6267 0.4076 0.1654
O 0.2190 0.5924 0.3346


# 6
Below is a relaxed RbNa2B6BrO10 crystal, with properties calculated at the PBE level.

Calculated values
Space group: Pnma (62)
Theoretical density, g/cm³: 2.7

abc: 8.4712 9.7059 12.9032
angles: 90.00 90.00 90.00
Atoms (fractional coordinates):
Rb 0.0000 0.5000 0.5000
Rb 0.5000 0.0000 0.0000
Rb 0.0000 0.0000 0.5000
Rb 0.5000 0.5000 0.0000
Na 0.7333 0.7500 0.2049
Na 0.7667 0.7500 0.7049
Na 0.2667 0.2500 0.7951
Na 0.2333 0.2500 0.2951
Na 0.5000 0.5000 0.5000
Na 0.0000 0.0000 0.0000
Na 0.5000 0.0000 0.5000
Na 0.0000 0.5000 0.0000
B 0.6112 0.2500 0.3286
B 0.8888 0.2500 0.8286
B 0.3888 0.7500 0.6714
B 0.1112 0.7500 0.1714
B 0.5373 0.4871 0.2659
B 0.9627 0.0129 0.7659
B 0.4627 0.9871 0.7341
B 0.0373 0.5129 0.2341
B 0.4627 0.5129 0.7341
B 0.0373 0.9871 0.2341
B 0.5373 0.0129 0.2659
B 0.9627 0.4871 0.7659
B 0.7846 0.3851 0.1904
B 0.7154 0.1149 0.6904
B 0.2154 0.8851 0.8096
B 0.2846 0.6149 0.3096
B 0.2154 0.6149 0.8096
B 0.2846 0.8851 0.3096
B 0.7846 0.1149 0.1904
B 0.7154 0.3851 0.6904
B 0.6987 0.2500 0.5236
B 0.8013 0.2500 0.0236
B 0.3013 0.7500 0.4764
B 0.1987 0.7500 0.9764
Br 0.7374 0.7500 0.4468
Br 0.7626 0.7500 0.9468
Br 0.2626 0.2500 0.5532
Br 0.2374 0.2500 0.0532
O 0.6735 0.4982 0.2082
O 0.8265 0.0018 0.7082
O 0.3265 0.9982 0.7918
O 0.1735 0.5018 0.2918
O 0.3265 0.5018 0.7918
O 0.1735 0.9982 0.2918
O 0.6735 0.0018 0.2082
O 0.8265 0.4982 0.7082
O 0.0070 0.6272 0.1731
O 0.4930 0.8728 0.6731
O 0.9930 0.1272 0.8269
O 0.5070 0.3728 0.3269
O 0.9930 0.3728 0.8269
O 0.5070 0.1272 0.3269
O 0.0070 0.8728 0.1731
O 0.4930 0.6272 0.6731
O 0.7112 0.2500 0.2297
O 0.7888 0.2500 0.7297
O 0.2888 0.7500 0.7703
O 0.2112 0.7500 0.2703
O 0.7138 0.2500 0.4180
O 0.7862 0.2500 0.9180
O 0.2862 0.7500 0.5820
O 0.2138 0.7500 0.0820
O 0.8021 0.3733 0.0765
O 0.6979 0.1267 0.5765
O 0.1979 0.8733 0.9235
O 0.3021 0.6267 0.4235
O 0.1979 0.6267 0.9235
O 0.3021 0.8733 0.4235
O 0.8021 0.1267 0.0765
O 0.6979 0.3733 0.5765
O 0.4347 0.5948 0.2580
O 0.0653 0.9052 0.7580
O 0.5653 0.0948 0.7420
O 0.9347 0.4052 0.2420
O 0.5653 0.4052 0.7420
O 0.9347 0.0948 0.2420
O 0.4347 0.9052 0.2580
O 0.0653 0.5948 0.7580


Number 1: calculated formation energy -2.18 eV per formula unit. Number 2: calculated formation energy -13.52 eV per formula unit. Number 3: calculated formation energy 9.52 eV per formula unit. Number 4: calculated formation energy -7.25 eV per formula unit. Number 5: calculated formation energy -188.64 eV per formula unit. Number 6: calculated formation energy -53.64 eV per formula unit.